# 1
{"formula": "MgCo2O4", "functional": "PBE with a Hubbard U", "state": "relaxed", "lattice": [[4.985, -1.489, 0.000], [4.985, 1.489, 0.000], [-1.083, 0.000, 4.881]], "species": ["Mg", "Co", "Co", "O", "O", "O", "O"], "fractional_positions": [[0.000, 0.000, 0.000], [0.245, 0.245, 0.742], [0.755, 0.755, 0.258], [0.149, 0.149, 0.367], [0.366, 0.366, 0.096], [0.634, 0.634, 0.904], [0.851, 0.851, 0.633]], "volume_a3_per_atom": 10.4, "total_energy_ev_per_cell": -40.93, "formation_enthalpy_0k_mev_per_atom": -1621}

=====

# 2
{"formula": "MgCo2O4", "functional": "PBE with a Hubbard U", "state": "relaxed", "lattice": [[5.950, 0.000, 0.000], [2.966, 5.162, 0.000], [0.001, 0.018, 14.606]], "species": ["Mg", "Mg", "Mg", "Mg", "Mg", "Mg", "Co", "Co", "Co", "Co", "Co", "Co", "Co", "Co", "Co", "Co", "Co", "Co", "O", "O", "O", "O", "O", "O", "O", "O", "O", "O", "O", "O", "O", "O", "O", "O", "O", "O", "O", "O", "O", "O", "O", "O"], "fractional_positions": [[0.000, 0.000, 0.000], [0.000, 0.000, 0.248], [0.000, 0.000, 0.624], [0.333, 0.334, 0.332], [0.334, 0.332, 0.958], [0.666, 0.667, 0.669], [0.003, 0.499, 0.122], [0.165, 0.165, 0.790], [0.165, 0.670, 0.790], [0.332, 0.834, 0.457], [0.333, 0.333, 0.581], [0.498, 0.004, 0.122], [0.499, 0.498, 0.122], [0.666, 0.668, 0.290], [0.667, 0.667, 0.911], [0.670, 0.165, 0.790], [0.833, 0.333, 0.457], [0.834, 0.834, 0.458], [0.000, 0.000, 0.382], [0.000, 0.000, 0.865], [0.023, 0.488, 0.866], [0.158, 0.158, 0.530], [0.158, 0.684, 0.530], [0.174, 0.646, 0.052], [0.179, 0.174, 0.051], [0.307, 0.847, 0.715], [0.333, 0.333, 0.198], [0.333, 0.334, 0.715], [0.375, 0.812, 0.208], [0.488, 0.023, 0.866], [0.488, 0.488, 0.866], [0.520, 0.520, 0.371], [0.520, 0.959, 0.371], [0.647, 0.178, 0.052], [0.666, 0.667, 0.531], [0.667, 0.668, 0.047], [0.684, 0.158, 0.530], [0.810, 0.816, 0.208], [0.815, 0.376, 0.208], [0.846, 0.308, 0.715], [0.846, 0.846, 0.715], [0.959, 0.521, 0.371]], "volume_a3_per_atom": 10.7, "total_energy_ev_per_cell": -250.93, "formation_enthalpy_0k_mev_per_atom": -1748}

=====

# 3
{"formula": "Mg3Co2O7", "functional": "PBE with a Hubbard U", "state": "relaxed", "lattice": [[8.724, -2.507, 0.000], [8.724, 2.507, 0.000], [-0.033, 0.000, 5.325]], "species": ["Mg", "Mg", "Mg", "Mg", "Mg", "Mg", "Co", "Co", "Co", "Co", "O", "O", "O", "O", "O", "O", "O", "O", "O", "O", "O", "O", "O", "O"], "fractional_positions": [[0.042, 0.564, 0.339], [0.230, 0.770, 0.500], [0.433, 0.944, 0.343], [0.564, 0.042, 0.839], [0.770, 0.230, 0.000], [0.944, 0.433, 0.843], [0.149, 0.640, 0.921], [0.351, 0.848, 0.922], [0.640, 0.149, 0.421], [0.848, 0.351, 0.422], [0.013, 0.130, 0.729], [0.067, 0.332, 0.467], [0.130, 0.013, 0.229], [0.322, 0.409, 0.602], [0.332, 0.067, 0.967], [0.385, 0.613, 0.867], [0.409, 0.322, 0.102], [0.577, 0.686, 0.626], [0.613, 0.385, 0.367], [0.658, 0.924, 0.470], [0.686, 0.577, 0.126], [0.868, 0.969, 0.769], [0.924, 0.658, 0.970], [0.969, 0.868, 0.269]], "volume_a3_per_atom": 9.7, "total_energy_ev_per_cell": -139.25, "formation_enthalpy_0k_mev_per_atom": -2005}

=====

# 4
{"formula": "MgCo7O12", "functional": "PBE with a Hubbard U", "state": "relaxed", "lattice": [[5.032, 0.000, 0.000], [-2.262, 4.534, 0.000], [-0.649, -1.525, 9.356]], "species": ["Mg", "Co", "Co", "Co", "Co", "Co", "Co", "Co", "O", "O", "O", "O", "O", "O", "O", "O", "O", "O", "O", "O"], "fractional_positions": [[0.000, 0.000, 0.000], [0.099, 0.441, 0.267], [0.139, 0.867, 0.535], [0.450, 0.123, 0.286], [0.542, 0.889, 0.763], [0.631, 0.335, 0.006], [0.772, 0.784, 0.273], [0.826, 0.512, 0.742], [0.146, 0.118, 0.388], [0.173, 0.603, 0.655], [0.344, 0.991, 0.906], [0.355, 0.328, 0.152], [0.441, 0.793, 0.357], [0.498, 0.136, 0.646], [0.645, 0.639, 0.879], [0.753, 0.094, 0.172], [0.789, 0.799, 0.652], [0.836, 0.524, 0.382], [0.867, 0.247, 0.873], [0.959, 0.674, 0.128]], "volume_a3_per_atom": 10.7, "total_energy_ev_per_cell": -115.31, "formation_enthalpy_0k_mev_per_atom": -1214}

=====

# 5
{"formula": "MgCo2O5", "functional": "PBE with a Hubbard U", "state": "relaxed", "lattice": [[1.852, -5.118, 0.000], [1.852, 5.118, 0.000], [0.000, 0.000, 11.131]], "species": ["Mg", "Mg", "Co", "Co", "Co", "Co", "O", "O", "O", "O", "O", "O", "O", "O", "O", "O"], "fractional_positions": [[0.111, 0.889, 0.750], [0.889, 0.111, 0.250], [0.205, 0.795, 0.097], [0.205, 0.795, 0.403], [0.795, 0.205, 0.597], [0.795, 0.205, 0.903], [0.043, 0.957, 0.130], [0.043, 0.957, 0.370], [0.233, 0.767, 0.580], [0.233, 0.767, 0.920], [0.303, 0.697, 0.250], [0.697, 0.303, 0.750], [0.767, 0.233, 0.080], [0.767, 0.233, 0.420], [0.957, 0.043, 0.630], [0.957, 0.043, 0.870]], "volume_a3_per_atom": 13.2, "total_energy_ev_per_cell": -89.21, "formation_enthalpy_0k_mev_per_atom": -1345}

=====

# 6
{"formula": "MgCo4O8", "functional": "PBE with a Hubbard U", "state": "relaxed", "lattice": [[2.967, 0.000, 0.000], [1.381, 7.440, 0.000], [0.246, 2.384, 7.629]], "species": ["Mg", "Co", "Co", "Co", "Co", "O", "O", "O", "O", "O", "O", "O", "O"], "fractional_positions": [[0.000, 0.000, 0.000], [0.334, 0.354, 0.934], [0.384, 0.084, 0.348], [0.678, 0.679, 0.939], [0.860, 0.113, 0.644], [0.137, 0.723, 0.070], [0.222, 0.610, 0.815], [0.295, 0.237, 0.503], [0.434, 0.108, 0.111], [0.547, 0.949, 0.820], [0.791, 0.422, 0.054], [0.862, 0.273, 0.821], [0.942, 0.954, 0.465]], "volume_a3_per_atom": 13.0, "total_energy_ev_per_cell": -74.22, "formation_enthalpy_0k_mev_per_atom": -1281}

=====

# 7
{"formula": "MgCo2O4", "functional": "PBE with a Hubbard U", "state": "relaxed", "lattice": [[8.693, 0.000, 0.000], [0.000, 2.830, 0.000], [0.000, 0.000, 10.014]], "species": ["Mg", "Mg", "Mg", "Mg", "Co", "Co", "Co", "Co", "Co", "Co", "Co", "Co", "O", "O", "O", "O", "O", "O", "O", "O", "O", "O", "O", "O", "O", "O", "O", "O"], "fractional_positions": [[0.241, 0.250, 0.162], [0.259, 0.750, 0.662], [0.741, 0.250, 0.338], [0.759, 0.750, 0.838], [0.051, 0.250, 0.383], [0.093, 0.250, 0.903], [0.407, 0.750, 0.403], [0.449, 0.750, 0.883], [0.551, 0.250, 0.117], [0.593, 0.250, 0.597], [0.907, 0.750, 0.097], [0.949, 0.750, 0.617], [0.055, 0.750, 0.784], [0.092, 0.250, 0.571], [0.117, 0.750, 0.039], [0.194, 0.750, 0.329], [0.306, 0.250, 0.829], [0.383, 0.250, 0.539], [0.408, 0.750, 0.071], [0.445, 0.250, 0.284], [0.555, 0.750, 0.716], [0.592, 0.250, 0.929], [0.617, 0.750, 0.461], [0.694, 0.750, 0.171], [0.806, 0.250, 0.671], [0.883, 0.250, 0.961], [0.908, 0.750, 0.429], [0.945, 0.250, 0.216]], "volume_a3_per_atom": 8.8, "total_energy_ev_per_cell": -167.65, "formation_enthalpy_0k_mev_per_atom": -1761}

=====

# 8
{"formula": "MgCo4O8", "functional": "PBE with a Hubbard U", "state": "relaxed", "lattice": [[4.002, -4.186, 0.000], [4.002, 4.186, 0.000], [-3.936, 0.000, 4.239]], "species": ["Mg", "Co", "Co", "Co", "Co", "O", "O", "O", "O", "O", "O", "O", "O"], "fractional_positions": [[0.000, 0.000, 0.000], [0.136, 0.376, 0.745], [0.624, 0.864, 0.255], [0.629, 0.369, 0.754], [0.631, 0.371, 0.246], [0.405, 0.588, 0.229], [0.412, 0.595, 0.771], [0.418, 0.145, 0.291], [0.420, 0.166, 0.800], [0.834, 0.580, 0.200], [0.855, 0.137, 0.267], [0.855, 0.582, 0.709], [0.863, 0.145, 0.733]], "volume_a3_per_atom": 10.9, "total_energy_ev_per_cell": -75.27, "formation_enthalpy_0k_mev_per_atom": -1362}

=====

# 9
{"formula": "MgCo2O4", "functional": "PBE with a Hubbard U", "state": "relaxed", "lattice": [[5.617, 0.000, 0.000], [0.000, 10.024, 0.000], [0.000, 0.000, 4.869]], "species": ["Mg", "Mg", "Mg", "Mg", "Co", "Co", "Co", "Co", "Co", "Co", "Co", "Co", "O", "O", "O", "O", "O", "O", "O", "O", "O", "O", "O", "O", "O", "O", "O", "O"], "fractional_positions": [[0.250, 0.250, 0.030], [0.250, 0.750, 0.355], [0.750, 0.250, 0.645], [0.750, 0.750, 0.970], [0.000, 0.000, 0.500], [0.000, 0.500, 0.500], [0.250, 0.509, 0.992], [0.250, 0.991, 0.992], [0.500, 0.000, 0.500], [0.500, 0.500, 0.500], [0.750, 0.009, 0.008], [0.750, 0.491, 0.008], [0.002, 0.108, 0.834], [0.002, 0.392, 0.834], [0.250, 0.097, 0.316], [0.250, 0.403, 0.316], [0.250, 0.605, 0.651], [0.250, 0.895, 0.651], [0.498, 0.108, 0.834], [0.498, 0.392, 0.834], [0.502, 0.608, 0.166], [0.502, 0.892, 0.166], [0.750, 0.105, 0.349], [0.750, 0.395, 0.349], [0.750, 0.597, 0.684], [0.750, 0.903, 0.684], [0.998, 0.608, 0.166], [0.998, 0.892, 0.166]], "volume_a3_per_atom": 9.8, "total_energy_ev_per_cell": -168.19, "formation_enthalpy_0k_mev_per_atom": -1780}

=====

# 10
{"formula": "MgCo4O8", "functional": "PBE with a Hubbard U", "state": "relaxed", "lattice": [[5.782, 0.000, 0.000], [-0.503, 5.771, 0.000], [-2.593, -2.894, 4.412]], "species": ["Mg", "Co", "Co", "Co", "Co", "O", "O", "O", "O", "O", "O", "O", "O"], "fractional_positions": [[0.000, 0.000, 0.000], [0.123, 0.385, 0.741], [0.613, 0.372, 0.749], [0.613, 0.875, 0.250], [0.637, 0.390, 0.257], [0.384, 0.614, 0.769], [0.388, 0.178, 0.788], [0.390, 0.636, 0.232], [0.410, 0.132, 0.275], [0.825, 0.640, 0.221], [0.857, 0.591, 0.720], [0.858, 0.136, 0.271], [0.867, 0.153, 0.742]], "volume_a3_per_atom": 11.3, "total_energy_ev_per_cell": -74.17, "formation_enthalpy_0k_mev_per_atom": -1277}

=====

# 11
{"formula": "MgCo4O8", "functional": "PBE with a Hubbard U", "state": "relaxed", "lattice": [[2.953, 0.000, 0.000], [1.405, 6.758, 0.000], [1.393, 0.606, 6.821]], "species": ["Mg", "Co", "Co", "Co", "Co", "O", "O", "O", "O", "O", "O", "O", "O"], "fractional_positions": [[0.000, 0.000, 0.000], [0.283, 0.054, 0.374], [0.485, 0.365, 0.656], [0.768, 0.388, 0.029], [0.978, 0.684, 0.324], [0.100, 0.221, 0.567], [0.150, 0.529, 0.116], [0.461, 0.195, 0.900], [0.475, 0.863, 0.174], [0.482, 0.552, 0.451], [0.785, 0.183, 0.237], [0.804, 0.902, 0.486], [0.865, 0.498, 0.769]], "volume_a3_per_atom": 10.5, "total_energy_ev_per_cell": -74.61, "formation_enthalpy_0k_mev_per_atom": -1311}

=====

# 12
{"formula": "MgCo2O4", "functional": "PBE with a Hubbard U", "state": "relaxed", "lattice": [[5.394, -1.515, 0.000], [5.394, 1.515, 0.000], [-2.046, 0.000, 4.522]], "species": ["Mg", "Co", "Co", "O", "O", "O", "O"], "fractional_positions": [[0.000, 0.000, 0.000], [0.284, 0.284, 0.288], [0.716, 0.716, 0.712], [0.137, 0.137, 0.439], [0.364, 0.364, 0.021], [0.636, 0.636, 0.979], [0.863, 0.863, 0.561]], "volume_a3_per_atom": 10.6, "total_energy_ev_per_cell": -41.14, "formation_enthalpy_0k_mev_per_atom": -1650}